1.
Tb3InS6 (meta-GGA r2SCAN, relaxed); crystal system = orthorhombic; magnetic moment = 0.0 μB/f.u.; energy of formation from the pure elements = -1.982 eV per atom; raw total energy = -18.43 eV per atom
1.0
13.531 0.000 0.000
0.000 16.490 0.000
0.000 0.000 3.853
Tb In S
12 4 24
direct
0.039 0.224 0.250
0.190 0.646 0.250
0.248 0.893 0.752
0.252 0.393 0.248
0.310 0.146 0.750
0.461 0.724 0.750
0.539 0.276 0.750
0.690 0.854 0.750
0.748 0.607 0.248
0.752 0.107 0.752
0.810 0.354 0.250
0.961 0.776 0.250
0.000 0.000 0.755
0.000 0.500 0.750
0.500 0.000 0.250
0.500 0.500 0.245
0.020 0.395 0.250
0.096 0.914 0.252
0.112 0.117 0.750
0.112 0.746 0.750
0.182 0.287 0.749
0.192 0.520 0.750
0.308 0.020 0.250
0.318 0.787 0.251
0.388 0.246 0.250
0.388 0.617 0.250
0.404 0.414 0.748
0.480 0.895 0.750
0.520 0.105 0.750
0.596 0.586 0.748
0.612 0.383 0.250
0.612 0.754 0.250
0.682 0.213 0.251
0.692 0.980 0.250
0.808 0.480 0.750
0.818 0.713 0.749
0.888 0.254 0.750
0.888 0.883 0.750
0.904 0.086 0.252
0.980 0.605 0.250

=====

2.
TlInS2 (meta-GGA r2SCAN, relaxed); crystal system = hexagonal; magnetic moment = 0.0 μB/f.u.; energy of formation from the pure elements = -0.683 eV per atom; raw total energy = -23.64 eV per atom
1.0
3.867 0.000 0.000
-1.934 3.349 0.000
0.000 0.000 14.948
Tl In S
2 2 4
direct
0.333 0.667 0.250
0.667 0.333 0.750
0.000 0.000 0.000
0.000 0.000 0.500
0.333 0.667 0.596
0.333 0.667 0.904
0.667 0.333 0.096
0.667 0.333 0.404

=====

3.
TlIn5S7 (meta-GGA r2SCAN, relaxed); crystal system = monoclinic; magnetic moment = 0.0 μB/f.u.; energy of formation from the pure elements = -0.719 eV per atom; raw total energy = -17.82 eV per atom
1.0
9.162 0.000 0.000
0.000 3.911 0.000
-3.712 0.000 17.177
Tl In S
2 10 14
direct
0.027 0.250 0.225
0.973 0.750 0.775
0.145 0.750 0.455
0.172 0.250 0.032
0.319 0.750 0.688
0.434 0.250 0.381
0.475 0.250 0.898
0.525 0.750 0.102
0.566 0.750 0.619
0.681 0.250 0.312
0.828 0.750 0.968
0.855 0.250 0.545
0.036 0.750 0.088
0.058 0.750 0.589
0.257 0.750 0.330
0.264 0.250 0.771
0.331 0.750 0.967
0.336 0.250 0.506
0.386 0.250 0.150
0.614 0.750 0.850
0.664 0.750 0.494
0.669 0.250 0.033
0.736 0.750 0.229
0.743 0.250 0.670
0.942 0.250 0.411
0.964 0.250 0.912

=====

4.
TlIn5S8 (meta-GGA r2SCAN, relaxed); crystal system = monoclinic; magnetic moment = 0.0 μB/f.u.; energy of formation from the pure elements = -0.726 eV per atom; raw total energy = -17.18 eV per atom
1.0
9.604 -1.939 0.000
9.604 1.939 0.000
-2.116 0.000 9.046
Tl In S
1 5 8
direct
0.000 0.000 0.000
0.174 0.174 0.390
0.242 0.242 0.821
0.531 0.531 0.485
0.816 0.816 0.148
0.885 0.885 0.573
0.116 0.116 0.608
0.292 0.292 0.330
0.366 0.366 0.009
0.461 0.461 0.698
0.599 0.599 0.267
0.697 0.697 0.960
0.769 0.769 0.638
0.945 0.945 0.357

=====

5.
TlInS2 (meta-GGA r2SCAN, relaxed); crystal system = tetragonal; magnetic moment = 0.0 μB/f.u.; energy of formation from the pure elements = -0.667 eV per atom; raw total energy = -23.62 eV per atom
1.0
-3.948 3.948 3.351
3.948 -3.948 3.351
3.948 3.948 -3.351
Tl In S
2 2 4
direct
0.250 0.250 0.000
0.750 0.750 0.000
0.250 0.750 0.500
0.750 0.250 0.500
0.166 0.666 0.832
0.334 0.166 0.500
0.666 0.834 0.500
0.834 0.334 0.168

=====

6.
TlInS2 (meta-GGA r2SCAN, relaxed); crystal system = trigonal; magnetic moment = 0.0 μB/f.u.; energy of formation from the pure elements = -0.681 eV per atom; raw total energy = -23.64 eV per atom
1.0
1.938 1.119 7.464
-1.938 1.119 7.464
0.000 -2.238 7.464
Tl In S
1 1 2
direct
0.000 0.000 0.000
0.500 0.500 0.500
0.231 0.231 0.231
0.769 0.769 0.769

=====

7.
TlInS2 (meta-GGA r2SCAN, relaxed); crystal system = monoclinic; magnetic moment = 0.0 μB/f.u.; energy of formation from the pure elements = -0.677 eV per atom; raw total energy = -23.63 eV per atom
1.0
5.518 -5.519 0.000
5.518 5.519 0.000
-2.796 0.000 14.968
Tl In S
8 8 16
direct
0.156 0.782 0.618
0.218 0.844 0.882
0.227 0.344 0.879
0.344 0.227 0.379
0.656 0.773 0.621
0.773 0.656 0.121
0.782 0.156 0.118
0.844 0.218 0.382
0.089 0.712 0.346
0.288 0.415 0.154
0.288 0.911 0.154
0.415 0.288 0.654
0.585 0.712 0.346
0.712 0.089 0.846
0.712 0.585 0.846
0.911 0.288 0.654
0.053 0.428 0.250
0.054 0.946 0.250
0.138 0.261 0.555
0.261 0.138 0.055
0.268 0.638 0.053
0.362 0.732 0.447
0.428 0.053 0.750
0.428 0.572 0.750
0.572 0.428 0.250
0.572 0.947 0.250
0.638 0.268 0.553
0.732 0.362 0.947
0.739 0.862 0.945
0.862 0.739 0.445
0.946 0.054 0.750
0.947 0.572 0.750

=====

8.
V6InS8 (meta-GGA r2SCAN, relaxed); crystal system = trigonal; magnetic moment = 0.0 μB/f.u.; energy of formation from the pure elements = -1.063 eV per atom; raw total energy = -12.49 eV per atom
1.0
9.193 0.000 0.000
-4.597 7.962 0.000
0.000 0.000 3.219
V In S
6 1 8
direct
0.045 0.222 0.000
0.155 0.710 0.501
0.177 0.955 0.000
0.290 0.445 0.501
0.555 0.845 0.501
0.778 0.823 0.000
0.667 0.333 0.612
0.000 0.000 0.501
0.013 0.386 0.499
0.322 0.281 0.002
0.333 0.667 0.001
0.373 0.987 0.499
0.614 0.627 0.499
0.719 0.041 0.002
0.959 0.678 0.002

=====

9.
Y3InS6 (meta-GGA r2SCAN, relaxed); crystal system = orthorhombic; magnetic moment = 0.0 μB/f.u.; energy of formation from the pure elements = -1.967 eV per atom; raw total energy = -15.14 eV per atom
1.0
13.505 0.000 0.000
0.000 16.478 0.000
0.000 0.000 3.847
Y In S
12 4 24
direct
0.039 0.224 0.252
0.190 0.646 0.251
0.249 0.893 0.751
0.251 0.393 0.249
0.310 0.146 0.749
0.461 0.724 0.748
0.539 0.276 0.748
0.690 0.854 0.749
0.749 0.607 0.249
0.751 0.107 0.751
0.810 0.354 0.251
0.961 0.776 0.252
0.000 0.000 0.744
0.000 0.500 0.749
0.500 0.000 0.251
0.500 0.500 0.256
0.020 0.395 0.249
0.096 0.914 0.250
0.112 0.118 0.752
0.113 0.746 0.751
0.182 0.287 0.750
0.192 0.521 0.750
0.308 0.021 0.250
0.318 0.787 0.250
0.387 0.246 0.249
0.388 0.618 0.248
0.404 0.414 0.750
0.480 0.895 0.751
0.520 0.105 0.751
0.596 0.586 0.750
0.612 0.382 0.248
0.613 0.754 0.249
0.682 0.213 0.250
0.692 0.979 0.250
0.808 0.479 0.750
0.818 0.713 0.750
0.887 0.254 0.751
0.888 0.882 0.752
0.904 0.086 0.250
0.980 0.605 0.249

=====

10.
YbIn2S4 (meta-GGA r2SCAN, relaxed); crystal system = orthorhombic; magnetic moment = 0.0 μB/f.u.; energy of formation from the pure elements = -1.064 eV per atom; raw total energy = -17.32 eV per atom
1.0
3.371 -4.761 0.000
3.371 4.761 0.000
0.000 0.000 9.728
Yb In S
2 4 8
direct
0.000 0.000 0.250
0.000 0.000 0.750
0.291 0.683 0.000
0.317 0.709 0.500
0.683 0.291 0.500
0.709 0.317 0.000
0.000 0.500 0.200
0.000 0.500 0.800
0.139 0.253 0.500
0.253 0.139 0.000
0.500 0.000 0.300
0.500 0.000 0.700
0.747 0.861 0.000
0.861 0.747 0.500

=====

11.
InSb (meta-GGA r2SCAN, relaxed); crystal system = orthorhombic; magnetic moment = 0.0 μB/f.u.; energy of formation from the pure elements = -0.232 eV per atom; raw total energy = -24.37 eV per atom
1.0
2.313 -4.003 0.000
2.313 4.003 0.000
0.000 0.000 7.616
In Sb
2 2
direct
0.168 0.832 0.500
0.832 0.168 0.000
0.166 0.834 0.874
0.834 0.166 0.374

=====

12.
InSb (meta-GGA r2SCAN, relaxed); crystal system = cubic; magnetic moment = 0.0 μB/f.u.; energy of formation from the pure elements = -0.238 eV per atom; raw total energy = -24.38 eV per atom
1.0
0.000 3.317 3.317
3.317 0.000 3.317
3.317 3.317 0.000
In Sb
1 1
direct
0.000 0.000 0.000
0.250 0.250 0.250